[1]
# PBE-GGA Cu2PO5, relaxed
data_Cu2PO5
_cell_length_a 7.309
_cell_length_b 6.215
_cell_length_c 8.612
_cell_angle_alpha 90.00
_cell_angle_beta 90.10
_cell_angle_gamma 90.00
_space_group_name_H-M_alt 'P 1 m 1'
_space_group_IT_number 6
_space_group_name_Hall 'P -2y'
loop_
_atom_site_label
_atom_site_type_symbol
_atom_site_fract_x
_atom_site_fract_y
_atom_site_fract_z
_atom_site_occupancy
Cu1 Cu 0.000 0.000 0.000 1
Cu2 Cu 0.063 0.500 0.500 1
Cu3 Cu 0.282 0.266 0.228 1
Cu4 Cu 0.499 0.500 0.958 1
Cu5 Cu 0.564 0.000 0.462 1
Cu6 Cu 0.782 0.234 0.729 1
P1 P 0.080 0.500 0.979 1
P2 P 0.483 0.500 0.479 1
P3 P 0.581 0.000 0.979 1
P4 P 0.983 0.000 0.479 1
O1 O 0.076 0.299 0.092 1
O2 O 0.148 0.000 0.368 1
O3 O 0.165 0.000 0.856 1
O4 O 0.258 0.500 0.886 1
O5 O 0.304 0.500 0.571 1
O6 O 0.397 0.000 0.604 1
O7 O 0.415 0.000 0.089 1
O8 O 0.488 0.298 0.366 1
O9 O 0.576 0.201 0.865 1
O10 O 0.648 0.500 0.590 1
O11 O 0.665 0.500 0.101 1
O12 O 0.759 0.000 0.071 1
O13 O 0.803 0.000 0.387 1
O14 O 0.894 0.500 0.358 1
O15 O 0.913 0.500 0.869 1
O16 O 0.988 0.201 0.592 1
# electronic total energy: -0.4223 Ry per atom
# polymorph energy (0 for the lowest one): 304 meV/atom
# crystal system: monoclinic
# calculated volume: 391.2 Å³/cell
# ΔH_f (0 K): -1.381 eV/atom

---

[2]
# PBE-GGA CuP3O9, relaxed
data_CuP3O9
_cell_length_a 8.423
_cell_length_b 8.447
_cell_length_c 9.016
_cell_angle_alpha 90.00
_cell_angle_beta 90.00
_cell_angle_gamma 90.00
_space_group_name_H-M_alt 'P 21 21 21'
_space_group_IT_number 19
_space_group_name_Hall 'P 2ac 2ab'
loop_
_atom_site_label
_atom_site_type_symbol
_atom_site_fract_x
_atom_site_fract_y
_atom_site_fract_z
_atom_site_occupancy
Cu1 Cu 0.153 0.126 0.114 1
P1 P 0.022 0.316 0.832 1
P2 P 0.188 0.469 0.307 1
P3 P 0.199 0.819 0.919 1
O1 O 0.040 0.767 0.831 1
O2 O 0.080 0.602 0.352 1
O3 O 0.114 0.882 0.578 1
O4 O 0.115 0.180 0.898 1
O5 O 0.140 0.455 0.781 1
O6 O 0.149 0.368 0.172 1
O7 O 0.156 0.887 0.068 1
O8 O 0.193 0.081 0.323 1
O9 O 0.223 0.353 0.447 1
# electronic total energy: -0.4931 Ry per atom
# polymorph energy (0 for the lowest one): 0 meV/atom
# crystal system: orthorhombic
# calculated volume: 641.5 Å³/cell
# ΔH_f (0 K): -2.194 eV/atom

---

[3]
# PBE-GGA Cu3P2O8, relaxed
data_Cu3P2O8
_cell_length_a 4.909
_cell_length_b 5.611
_cell_length_c 6.250
_cell_angle_alpha 73.47
_cell_angle_beta 87.18
_cell_angle_gamma 67.61
_space_group_name_H-M_alt 'P -1'
_space_group_IT_number 2
_space_group_name_Hall '-P 1'
loop_
_atom_site_label
_atom_site_type_symbol
_atom_site_fract_x
_atom_site_fract_y
_atom_site_fract_z
_atom_site_occupancy
Cu1 Cu 0.000 0.000 0.000 1
Cu2 Cu 0.267 0.210 0.321 1
P1 P 0.357 0.332 0.784 1
O1 O 0.154 0.619 0.660 1
O2 O 0.220 0.221 0.007 1
O3 O 0.337 0.675 0.161 1
O4 O 0.377 0.136 0.640 1
# electronic total energy: -0.4607 Ry per atom
# crystal system: triclinic
# calculated volume: 152.3 Å³/cell
# ΔH_f (0 K): -1.867 eV/atom

---

[4]
# PBE-GGA CuP2O6, relaxed
data_CuP2O6
_cell_length_a 10.123
_cell_length_b 9.194
_cell_length_c 4.946
_cell_angle_alpha 90.00
_cell_angle_beta 110.98
_cell_angle_gamma 90.00
_space_group_name_H-M_alt 'C 1 2/c 1'
_space_group_IT_number 15
_space_group_name_Hall '-C 2yc'
loop_
_atom_site_label
_atom_site_type_symbol
_atom_site_fract_x
_atom_site_fract_y
_atom_site_fract_z
_atom_site_occupancy
Cu1 Cu 0.000 0.127 0.250 1
P1 P 0.212 0.409 0.256 1
O1 O 0.127 0.083 0.635 1
O2 O 0.140 0.266 0.165 1
O3 O 0.154 0.478 0.491 1
# electronic total energy: -0.4926 Ry per atom
# polymorph energy (0 for the lowest one): 30 meV/atom
# crystal system: monoclinic
# calculated volume: 429.8 Å³/cell
# ΔH_f (0 K): -2.203 eV/atom

---

[5]
# PBE-GGA Cu4P2O9, relaxed
data_Cu4P2O9
_cell_length_a 6.296
_cell_length_b 7.634
_cell_length_c 8.092
_cell_angle_alpha 99.17
_cell_angle_beta 111.87
_cell_angle_gamma 98.19
_space_group_name_H-M_alt 'P -1'
_space_group_IT_number 2
_space_group_name_Hall '-P 1'
loop_
_atom_site_label
_atom_site_type_symbol
_atom_site_fract_x
_atom_site_fract_y
_atom_site_fract_z
_atom_site_occupancy
Cu1 Cu 0.095 0.373 0.239 1
Cu2 Cu 0.153 0.882 0.588 1
Cu3 Cu 0.347 0.829 0.063 1
Cu4 Cu 0.383 0.604 0.756 1
P1 P 0.130 0.236 0.849 1
P2 P 0.500 0.285 0.580 1
O1 O 0.014 0.084 0.668 1
O2 O 0.022 0.774 0.037 1
O3 O 0.156 0.427 0.810 1
O4 O 0.203 0.776 0.799 1
O5 O 0.248 0.294 0.466 1
O6 O 0.350 0.720 0.535 1
O7 O 0.369 0.200 0.974 1
O8 O 0.383 0.534 0.261 1
O9 O 0.496 0.876 0.326 1
# electronic total energy: -0.4488 Ry per atom
# polymorph energy (0 for the lowest one): 6 meV/atom
# crystal system: triclinic
# calculated volume: 347.6 Å³/cell
# ΔH_f (0 K): -1.735 eV/atom

---

[6]
# PBE-GGA Cu2P3O10, relaxed
data_Cu2P3O10
_cell_length_a 4.769
_cell_length_b 8.310
_cell_length_c 9.189
_cell_angle_alpha 90.00
_cell_angle_beta 102.38
_cell_angle_gamma 90.00
_space_group_name_H-M_alt 'P 1 21/m 1'
_space_group_IT_number 11
_space_group_name_Hall '-P 2yb'
loop_
_atom_site_label
_atom_site_type_symbol
_atom_site_fract_x
_atom_site_fract_y
_atom_site_fract_z
_atom_site_occupancy
Cu1 Cu 0.070 0.065 0.322 1
P1 P 0.318 0.250 0.820 1
P2 P 0.408 0.750 0.449 1
P3 P 0.489 0.250 0.149 1
O1 O 0.154 0.095 0.805 1
O2 O 0.193 0.750 0.759 1
O3 O 0.245 0.596 0.470 1
O4 O 0.288 0.250 0.446 1
O5 O 0.335 0.096 0.174 1
O6 O 0.448 0.750 0.281 1
O7 O 0.465 0.750 0.021 1
# electronic total energy: -0.4795 Ry per atom
# crystal system: monoclinic
# calculated volume: 355.7 Å³/cell
# ΔH_f (0 K): -2.054 eV/atom

---

[7]
# PBE-GGA Cu5P2O10, relaxed
data_Cu5P2O10
_cell_length_a 5.342
_cell_length_b 5.364
_cell_length_c 7.730
_cell_angle_alpha 82.35
_cell_angle_beta 89.20
_cell_angle_gamma 67.57
_space_group_name_H-M_alt 'P -1'
_space_group_IT_number 2
_space_group_name_Hall '-P 1'
loop_
_atom_site_label
_atom_site_type_symbol
_atom_site_fract_x
_atom_site_fract_y
_atom_site_fract_z
_atom_site_occupancy
Cu1 Cu 0.000 0.000 0.000 1
Cu2 Cu 0.116 0.750 0.639 1
Cu3 Cu 0.285 0.377 0.052 1
P1 P 0.448 0.842 0.287 1
O1 O 0.047 0.682 0.885 1
O2 O 0.191 0.902 0.399 1
O3 O 0.307 0.380 0.615 1
O4 O 0.374 0.751 0.113 1
O5 O 0.493 0.897 0.763 1
# electronic total energy: -0.4406 Ry per atom
# crystal system: triclinic
# calculated volume: 202.8 Å³/cell
# ΔH_f (0 K): -1.645 eV/atom

---

[8]
# PBE-GGA Cu4P2O9, relaxed
data_Cu4P2O9
_cell_length_a 8.155
_cell_length_b 6.381
_cell_length_c 13.634
_cell_angle_alpha 90.00
_cell_angle_beta 90.00
_cell_angle_gamma 90.00
_space_group_name_H-M_alt 'P n m a'
_space_group_IT_number 62
_space_group_name_Hall '-P 2ac 2n'
loop_
_atom_site_label
_atom_site_type_symbol
_atom_site_fract_x
_atom_site_fract_y
_atom_site_fract_z
_atom_site_occupancy
Cu1 Cu 0.063 0.250 0.088 1
Cu2 Cu 0.145 0.750 0.448 1
Cu3 Cu 0.147 0.007 0.657 1
P1 P 0.003 0.750 0.157 1
P2 P 0.150 0.250 0.415 1
O1 O 0.085 0.047 0.363 1
O2 O 0.090 0.250 0.524 1
O3 O 0.097 0.250 0.745 1
O4 O 0.112 0.550 0.151 1
O5 O 0.118 0.250 0.930 1
O6 O 0.165 0.750 0.910 1
O7 O 0.202 0.750 0.594 1
# electronic total energy: -0.4492 Ry per atom
# polymorph energy (0 for the lowest one): 0 meV/atom
# crystal system: orthorhombic
# calculated volume: 709.5 Å³/cell
# ΔH_f (0 K): -1.741 eV/atom

---

> ΔH_f (0 K) of number 8 (Cu4P2O9)?

-1.741 eV/atom